First-principles (GGA-PBE) data for crystalline La3TaCl3O6 at its relaxed geometry, as listed in Materials Project.

Results
Formation energy from the elements, meV/atom: -3239

```
La3TaCl3O6
1.0
4.804 -8.320 0.000
4.804 8.320 0.000
0.000 0.000 5.424
O La Cl Ta
12 6 6 2
direct
0.364 0.523 0.516
0.477 0.841 0.984
0.841 0.364 0.484
0.523 0.159 0.016
0.159 0.636 0.984
0.477 0.841 0.516
0.523 0.159 0.484
0.364 0.523 0.984
0.841 0.364 0.016
0.636 0.477 0.484
0.159 0.636 0.516
0.636 0.477 0.016
0.315 0.910 0.250
0.685 0.090 0.750
0.595 0.685 0.250
0.405 0.315 0.750
0.910 0.595 0.750
0.090 0.405 0.250
0.760 0.810 0.750
0.240 0.190 0.250
0.949 0.760 0.250
0.810 0.051 0.250
0.051 0.240 0.750
0.190 0.949 0.750
0.333 0.667 0.750
0.667 0.333 0.250
```



First-principles (GGA-PBE) data for crystalline La2ThTaCl3O6 at its relaxed geometry, as listed in Materials Project.

Results
E above lowest polymorph, kJ per mole of atoms: 1.26
Formation energy from the elements, meV/atom: -3471

```
La2ThTaCl3O6
1.0
16.450 0.000 0.000
0.000 9.447 0.000
0.000 4.724 8.183
O Cl Ta La Th
36 18 6 12 6
direct
0.246 0.641 0.845
0.423 0.518 0.635
0.914 0.525 0.632
0.410 0.363 0.160
0.587 0.472 0.372
0.079 0.160 0.477
0.748 0.369 0.157
0.091 0.632 0.848
0.579 0.844 0.526
0.745 0.480 0.357
0.912 0.837 0.520
0.742 0.152 0.481
0.079 0.370 0.157
0.252 0.369 0.157
0.588 0.155 0.485
0.247 0.843 0.528
0.421 0.641 0.838
0.412 0.155 0.485
0.258 0.152 0.481
0.577 0.518 0.635
0.921 0.160 0.477
0.421 0.844 0.526
0.413 0.472 0.372
0.255 0.480 0.357
0.088 0.837 0.520
0.590 0.363 0.160
0.244 0.523 0.636
0.756 0.523 0.636
0.078 0.484 0.362
0.579 0.641 0.838
0.754 0.641 0.845
0.086 0.525 0.632
0.922 0.484 0.362
0.753 0.843 0.528
0.909 0.632 0.848
0.921 0.370 0.157
0.500 0.808 0.242
0.335 0.188 0.760
0.834 0.241 0.950
0.168 0.948 0.812
0.000 0.045 0.193
0.165 0.806 0.237
0.667 0.763 0.043
0.500 0.957 0.806
0.000 0.760 0.050
0.832 0.948 0.812
0.835 0.806 0.237
0.667 0.049 0.192
0.500 0.240 0.948
0.166 0.241 0.950
0.333 0.049 0.192
0.665 0.188 0.760
0.000 0.191 0.760
0.333 0.763 0.043
0.333 0.332 0.334
0.167 0.666 0.668
0.667 0.332 0.334
0.500 0.666 0.667
0.000 0.334 0.335
0.833 0.666 0.668
0.667 0.406 0.912
0.833 0.318 0.594
0.500 0.593 0.087
0.166 0.088 0.318
0.834 0.088 0.318
0.000 0.916 0.677
0.000 0.404 0.912
0.668 0.681 0.406
0.332 0.681 0.406
0.333 0.406 0.912
0.500 0.092 0.314
0.167 0.318 0.594
0.334 0.912 0.674
0.167 0.586 0.088
0.666 0.912 0.674
0.000 0.676 0.415
0.500 0.327 0.588
0.833 0.586 0.088
```



First-principles (GGA-PBE) data for crystalline La2ThTaCl3O6 at its relaxed geometry, as listed in Materials Project.

Results
E above lowest polymorph, kJ per mole of atoms: 0.00
Formation energy from the elements, meV/atom: -3484

```
La2ThTaCl3O6
1.0
5.484 0.000 0.000
0.000 9.404 0.000
0.000 4.639 8.217
Th Cl O La Ta
2 6 12 4 2
direct
0.000 0.083 0.586
0.000 0.585 0.326
0.500 0.053 0.756
0.000 0.235 0.807
0.000 0.946 0.239
0.000 0.812 0.952
0.500 0.759 0.191
0.500 0.189 0.054
0.769 0.848 0.634
0.741 0.366 0.477
0.739 0.480 0.163
0.738 0.156 0.370
0.764 0.524 0.838
0.259 0.366 0.477
0.236 0.524 0.838
0.231 0.635 0.517
0.261 0.480 0.163
0.262 0.156 0.370
0.231 0.848 0.634
0.769 0.635 0.517
0.500 0.908 0.406
0.500 0.408 0.690
0.000 0.322 0.083
0.500 0.683 0.911
0.500 0.335 0.333
0.000 0.667 0.666
```



First-principles (GGA-PBE) data for crystalline La5Pb3Cl at its relaxed geometry, as listed in Materials Project.

Results
Formation energy from the elements, meV/atom: -985

```
La5Pb3Cl
1.0
-7.708 3.944 -4.564
0.864 -9.729 0.628
-3.500 0.075 5.976
Cl La Pb
2 10 6
direct
0.000 0.000 0.500
0.000 0.000 0.000
0.000 0.737 0.750
0.333 0.667 0.000
0.000 0.263 0.250
0.667 0.333 0.000
0.263 0.263 0.750
0.667 0.333 0.500
0.737 0.000 0.750
0.737 0.737 0.250
0.263 0.000 0.250
0.333 0.667 0.500
0.000 0.385 0.750
0.615 0.615 0.750
0.385 0.385 0.250
0.000 0.615 0.250
0.385 0.000 0.750
0.615 0.000 0.250
```



First-principles (GGA-PBE) data for crystalline Rb2LaCl5 at its relaxed geometry, as listed in Materials Project.

Results
Formation energy from the elements, meV/atom: -2607

```
Rb2LaCl5
1.0
8.414 0.000 0.000
0.000 9.021 0.000
0.000 0.000 13.697
Cl La Rb
20 4 8
direct
0.847 0.039 0.082
0.364 0.750 0.665
0.636 0.250 0.335
0.091 0.250 0.488
0.669 0.750 0.304
0.847 0.461 0.082
0.831 0.750 0.804
0.653 0.461 0.582
0.909 0.750 0.512
0.347 0.539 0.418
0.153 0.961 0.918
0.347 0.961 0.418
0.153 0.539 0.918
0.864 0.250 0.835
0.591 0.750 0.012
0.169 0.250 0.196
0.331 0.250 0.696
0.653 0.039 0.582
0.136 0.750 0.165
0.409 0.250 0.988
0.929 0.750 0.002
0.429 0.250 0.498
0.571 0.750 0.502
0.071 0.250 0.998
0.033 0.000 0.674
0.967 0.000 0.326
0.533 0.500 0.826
0.467 0.500 0.174
0.467 0.000 0.174
0.033 0.500 0.674
0.533 0.000 0.826
0.967 0.500 0.326
```



First-principles (GGA-PBE) data for crystalline LaSCl at its relaxed geometry, as listed in Materials Project.

Results
Formation energy from the elements, meV/atom: -2640

```
LaSCl
1.0
-1.172 -6.339 2.679
6.382 0.114 3.062
-16.831 17.663 34.430
Cl La S
24 24 24
direct
0.066 0.140 0.111
0.956 0.419 0.465
0.956 0.081 0.965
0.956 0.419 0.035
0.931 0.385 0.193
0.931 0.385 0.307
0.044 0.581 0.535
0.934 0.640 0.389
0.044 0.919 0.035
0.069 0.615 0.693
0.066 0.360 0.611
0.069 0.885 0.193
0.069 0.885 0.307
0.069 0.615 0.807
0.044 0.581 0.965
0.044 0.919 0.465
0.934 0.640 0.111
0.956 0.081 0.535
0.931 0.115 0.693
0.934 0.860 0.611
0.066 0.140 0.389
0.934 0.860 0.889
0.931 0.115 0.807
0.066 0.360 0.889
0.303 0.694 0.583
0.714 0.750 0.500
0.699 0.770 0.665
0.685 0.206 0.750
0.303 0.806 0.083
0.697 0.306 0.417
0.697 0.306 0.083
0.697 0.194 0.583
0.697 0.194 0.917
0.301 0.230 0.335
0.714 0.750 0.000
0.303 0.694 0.917
0.301 0.270 0.665
0.286 0.250 0.500
0.315 0.794 0.250
0.301 0.230 0.165
0.685 0.294 0.250
0.699 0.730 0.165
0.315 0.706 0.750
0.699 0.730 0.335
0.699 0.770 0.835
0.286 0.250 0.000
0.303 0.806 0.417
0.301 0.270 0.835
0.457 0.515 0.291
0.454 0.515 0.126
0.454 0.985 0.874
0.546 0.015 0.374
0.546 0.485 0.626
0.454 0.985 0.626
0.454 0.515 0.374
0.543 0.015 0.209
0.543 0.015 0.291
0.457 0.985 0.709
0.457 0.515 0.209
0.533 0.036 0.459
0.533 0.464 0.959
0.533 0.464 0.541
0.543 0.485 0.791
0.533 0.036 0.041
0.467 0.964 0.541
0.546 0.015 0.126
0.467 0.536 0.041
0.457 0.985 0.791
0.467 0.964 0.959
0.467 0.536 0.459
0.543 0.485 0.709
0.546 0.485 0.874
```



First-principles (GGA-PBE) data for crystalline La3Se4Cl at its relaxed geometry, as listed in Materials Project.

Results
Formation energy from the elements, meV/atom: -2163

```
La3Se4Cl
1.0
-4.651 6.519 0.050
-4.825 -3.395 -6.258
-7.568 -5.467 8.800
La Cl Se
12 4 16
direct
0.420 0.252 0.510
0.080 0.252 0.010
0.015 0.498 0.325
0.027 0.999 0.319
0.920 0.752 0.990
0.580 0.752 0.490
0.985 0.998 0.675
0.973 0.499 0.681
0.527 0.499 0.181
0.473 0.999 0.819
0.515 0.998 0.175
0.485 0.498 0.825
0.839 0.042 0.898
0.161 0.542 0.102
0.339 0.542 0.602
0.661 0.042 0.398
0.674 0.249 0.688
0.965 0.753 0.499
0.826 0.249 0.188
0.174 0.749 0.812
0.535 0.753 0.999
0.700 0.752 0.719
0.837 0.454 0.900
0.035 0.253 0.501
0.663 0.454 0.400
0.200 0.252 0.781
0.337 0.954 0.600
0.800 0.752 0.219
0.300 0.252 0.281
0.465 0.253 0.001
0.326 0.749 0.312
0.163 0.954 0.100
```



First-principles (GGA-PBE) data for crystalline LaSeCl at its relaxed geometry, as listed in Materials Project.

Results
Formation energy from the elements, meV/atom: -2393

```
LaSeCl
1.0
4.366 0.000 0.000
0.000 7.692 0.000
0.000 0.000 9.187
Se Cl La
4 4 4
direct
0.250 0.459 0.671
0.750 0.041 0.171
0.750 0.541 0.329
0.250 0.959 0.829
0.250 0.364 0.060
0.250 0.864 0.440
0.750 0.136 0.560
0.750 0.636 0.940
0.750 0.740 0.631
0.250 0.260 0.369
0.750 0.240 0.869
0.250 0.760 0.131
```